# PBE Na5La3NbSiP5O24, optimized geometry
# Formation energy from the elements ... -3.010 eV/atom
# Electronic total energy ... -7.273 eV/atom
# Total magnetic moment ... 0.0 μB/cell
data_Na5La3NbSiP5O24
_space_group_name_H-M_alt 'P 1'
_space_group_IT_number 1
_cell_length_a 9.4485
_cell_length_b 9.4842
_cell_length_c 23.9730
_cell_angle_alpha 89.99
_cell_angle_beta 89.95
_cell_angle_gamma 60.15
loop_
_space_group_symop_operation_xyz
'x,y,z'
loop_
_atom_site_label
_atom_site_type_symbol
_atom_site_fract_x
_atom_site_fract_y
_atom_site_fract_z
_atom_site_occupancy
Na1 Na 0.0000 0.0000 0.0000 1
Na2 Na 0.0058 0.6374 0.2466 1
Na3 Na 0.0258 0.9345 0.6643 1
Na4 Na 0.3068 0.3127 0.6620 1
Na5 Na 0.3355 0.9730 0.0876 1
Na6 Na 0.3391 0.3378 0.3311 1
Na7 Na 0.3477 0.9581 0.5759 1
Na8 Na 0.3645 0.2736 0.0006 1
Na9 Na 0.6395 0.6389 0.9994 1
Na10 Na 0.6593 0.3146 0.4228 1
Na11 Na 0.6701 0.3141 0.9116 1
Na12 Na 0.6910 0.6052 0.3343 1
Na13 Na 0.7049 0.9781 0.8249 1
Na14 Na 0.9696 0.9716 0.3309 1
Na15 Na 0.9929 0.6292 0.7458 1
La1 La 0.0013 0.6377 0.1031 1
La2 La 0.0056 0.6368 0.4055 1
La3 La 0.0116 0.6272 0.8915 1
La4 La 0.3288 0.9713 0.9276 1
La5 La 0.3356 0.9678 0.4370 1
La6 La 0.6658 0.3067 0.2592 1
La7 La 0.6678 0.3038 0.0769 1
La8 La 0.6695 0.3175 0.7634 1
La9 La 0.9904 0.6370 0.5965 1
Nb1 Nb 0.3344 0.9660 0.2313 1
Nb2 Nb 0.3365 0.9697 0.7267 1
Nb3 Nb 0.6740 0.2991 0.5677 1
Si1 Si 0.3321 0.6789 0.3295 1
Si2 Si 0.6608 0.0154 0.6682 1
Si3 Si 0.9747 0.2917 0.6649 1
P1 P 0.0422 0.9672 0.8268 1
P2 P 0.0496 0.2593 0.3278 1
P3 P 0.3064 0.6331 0.9992 1
P4 P 0.3244 0.3324 0.5033 1
P5 P 0.3341 0.2575 0.8265 1
P6 P 0.3575 0.2886 0.1688 1
P7 P 0.3787 0.6062 0.6637 1
P8 P 0.6236 0.6889 0.8285 1
P9 P 0.6243 0.9670 0.3278 1
P10 P 0.6537 0.6289 0.1689 1
P11 P 0.6950 0.6186 0.5000 1
P12 P 0.7019 0.9407 0.9964 1
P13 P 0.9854 0.9579 0.5033 1
P14 P 0.9915 0.9948 0.1691 1
P15 P 0.9978 0.3372 0.9991 1
O1 O 0.0074 0.8515 0.5538 1
O2 O 0.0174 0.8226 0.1656 1
O3 O 0.0216 0.4197 0.0502 1
O4 O 0.0291 0.8103 0.8228 1
O5 O 0.0296 0.4265 0.6576 1
O6 O 0.0420 0.4274 0.3289 1
O7 O 0.1148 0.9754 0.8833 1
O8 O 0.1237 0.1618 0.3808 1
O9 O 0.1299 0.9884 0.4997 1
O10 O 0.1505 0.1633 0.9961 1
O11 O 0.1542 0.1103 0.6741 1
O12 O 0.1561 0.9641 0.7770 1
O13 O 0.1585 0.6767 0.3300 1
O14 O 0.1625 0.1574 0.2770 1
O15 O 0.1624 0.9856 0.1772 1
O16 O 0.1787 0.4247 0.8220 1
O17 O 0.1861 0.4372 0.1652 1
O18 O 0.2001 0.6565 0.0503 1
O19 O 0.2029 0.6422 0.6543 1
O20 O 0.2173 0.4188 0.5537 1
O21 O 0.2240 0.6114 0.9465 1
O22 O 0.2494 0.4310 0.4481 1
O23 O 0.3227 0.8036 0.2755 1
O24 O 0.3276 0.1471 0.7763 1
O25 O 0.3278 0.7858 0.9960 1
O26 O 0.3427 0.1756 0.8827 1
O27 O 0.3471 0.1296 0.1772 1
O28 O 0.3509 0.1593 0.4996 1
O29 O 0.3634 0.7621 0.3826 1
O30 O 0.3655 0.7794 0.6738 1
O31 O 0.4391 0.5035 0.7162 1
O32 O 0.4434 0.3108 0.2195 1
O33 O 0.4578 0.2636 0.1142 1
O34 O 0.4794 0.4779 0.0036 1
O35 O 0.4851 0.0053 0.6754 1
O36 O 0.4894 0.4948 0.3248 1
O37 O 0.4937 0.2623 0.8239 1
O38 O 0.4944 0.8002 0.1774 1
O39 O 0.4954 0.3232 0.5126 1
O40 O 0.4962 0.5121 0.6139 1
O41 O 0.5081 0.8030 0.7792 1
O42 O 0.5202 0.9589 0.2772 1
O43 O 0.5217 0.7659 0.4989 1
O44 O 0.5242 0.9975 0.3808 1
O45 O 0.5264 0.9635 0.9950 1
O46 O 0.5456 0.7602 0.8853 1
O47 O 0.6266 0.5557 0.1146 1
O48 O 0.6328 0.1502 0.6155 1
O49 O 0.6467 0.5184 0.8269 1
O50 O 0.6554 0.1119 0.3214 1
O51 O 0.6744 0.5231 0.2198 1
O52 O 0.6836 0.0889 0.7252 1
O53 O 0.6854 0.4592 0.5123 1
O54 O 0.6863 0.1127 0.0027 1
O55 O 0.7848 0.6945 0.8230 1
O56 O 0.7866 0.6427 0.5477 1
O57 O 0.7893 0.5928 0.4439 1
O58 O 0.7895 0.8308 0.0465 1
O59 O 0.7897 0.8039 0.3294 1
O60 O 0.8010 0.6543 0.1655 1
O61 O 0.8005 0.8625 0.9422 1
O62 O 0.8213 0.8410 0.6587 1
O63 O 0.8224 0.1290 0.5132 1
O64 O 0.8416 0.3201 0.0036 1
O65 O 0.8634 0.2716 0.6123 1
O66 O 0.8684 0.1150 0.8258 1
O67 O 0.8715 0.3211 0.7199 1
O68 O 0.8762 0.2823 0.3221 1
O69 O 0.8862 0.0794 0.2202 1
O70 O 0.9178 0.0941 0.1147 1
O71 O 0.9593 0.8856 0.4483 1
O72 O 0.9771 0.4402 0.9464 1


# PBE Na7La2Nb2Si5PO24, optimized geometry
# Formation energy from the elements ... -2.935 eV/atom
# Electronic total energy ... -7.182 eV/atom
# Total magnetic moment ... 0.0 μB/cell
data_Na7La2Nb2Si5PO24
_space_group_name_H-M_alt 'P 1'
_space_group_IT_number 1
_cell_length_a 9.5053
_cell_length_b 9.5099
_cell_length_c 22.3910
_cell_angle_alpha 90.05
_cell_angle_beta 90.33
_cell_angle_gamma 119.93
loop_
_space_group_symop_operation_xyz
'x,y,z'
loop_
_atom_site_label
_atom_site_type_symbol
_atom_site_fract_x
_atom_site_fract_y
_atom_site_fract_z
_atom_site_occupancy
Na1 Na 0.0000 0.0000 0.0000 1
Na2 Na 0.0001 0.3052 0.9119 1
Na3 Na 0.0031 0.3195 0.4124 1
Na4 Na 0.2930 0.2946 0.4987 1
Na5 Na 0.2957 0.6163 0.9970 1
Na6 Na 0.3238 0.9718 0.5825 1
Na7 Na 0.3325 0.2909 0.1664 1
Na8 Na 0.3408 0.6721 0.6661 1
Na9 Na 0.3429 0.9880 0.0801 1
Na10 Na 0.6292 0.2955 0.6658 1
Na11 Na 0.6317 0.6380 0.2445 1
Na12 Na 0.6368 0.6350 0.7460 1
Na13 Na 0.6604 0.2811 0.9975 1
Na14 Na 0.6611 0.0068 0.4967 1
Na15 Na 0.6742 0.3443 0.3346 1
Na16 Na 0.6771 0.9575 0.8349 1
Na17 Na 0.9596 0.6212 0.8334 1
Na18 Na 0.9667 0.9571 0.3330 1
Na19 Na 0.9873 0.6682 0.1723 1
Na20 Na 0.9906 0.9451 0.6672 1
Na21 Na 0.9936 0.6196 0.5000 1
La1 La 0.3189 0.9751 0.7371 1
La2 La 0.3274 0.9702 0.2302 1
La3 La 0.6435 0.6285 0.8972 1
La4 La 0.6427 0.6371 0.3950 1
La5 La 0.9764 0.2975 0.0706 1
La6 La 0.9848 0.3028 0.5692 1
Nb1 Nb 0.3098 0.9662 0.4318 1
Nb2 Nb 0.3107 0.9685 0.9299 1
Nb3 Nb 0.6529 0.6399 0.5970 1
Nb4 Nb 0.6608 0.6410 0.0955 1
Nb5 Nb 0.9833 0.3033 0.2624 1
Nb6 Nb 0.9967 0.3054 0.7613 1
Si1 Si 0.0216 0.9884 0.8253 1
Si2 Si 0.0276 0.6602 0.3254 1
Si3 Si 0.2981 0.2609 0.3245 1
Si4 Si 0.2993 0.6583 0.8244 1
Si5 Si 0.3041 0.3216 0.6590 1
Si6 Si 0.3535 0.6506 0.4970 1
Si7 Si 0.3536 0.3276 0.9983 1
Si8 Si 0.6363 0.3288 0.4933 1
Si9 Si 0.6356 0.9300 0.9924 1
Si10 Si 0.6861 0.3235 0.1580 1
Si11 Si 0.6884 0.9926 0.6602 1
Si12 Si 0.9612 0.9326 0.4931 1
Si13 Si 0.9660 0.6514 0.9930 1
Si14 Si 0.9669 0.9894 0.1604 1
Si15 Si 0.9712 0.6031 0.6610 1
P1 P 0.2957 0.5892 0.1604 1
P2 P 0.6381 0.0006 0.3312 1
P3 P 0.6382 0.2613 0.8284 1
O1 O 0.0013 0.0829 0.0979 1
O2 O 0.0026 0.1181 0.4996 1
O3 O 0.0148 0.5137 0.0028 1
O4 O 0.0199 0.1627 0.8230 1
O5 O 0.0231 0.4824 0.3201 1
O6 O 0.0844 0.9631 0.7623 1
O7 O 0.0954 0.7572 0.2648 1
O8 O 0.1125 0.9492 0.1675 1
O9 O 0.1177 0.7886 0.6675 1
O10 O 0.1206 0.2585 0.3248 1
O11 O 0.1212 0.4847 0.8255 1
O12 O 0.1353 0.8365 0.9893 1
O13 O 0.1354 0.9236 0.4910 1
O14 O 0.1548 0.0008 0.8806 1
O15 O 0.1587 0.7777 0.3821 1
O16 O 0.1659 0.2804 0.0041 1
O17 O 0.1660 0.5102 0.5026 1
O18 O 0.1734 0.4598 0.2088 1
O19 O 0.1765 0.3324 0.7121 1
O20 O 0.2108 0.2886 0.5963 1
O21 O 0.2224 0.5294 0.0984 1
O22 O 0.2855 0.1254 0.3801 1
O23 O 0.2858 0.7840 0.8785 1
O24 O 0.3056 0.1833 0.2621 1
O25 O 0.3074 0.7391 0.7610 1
O26 O 0.3138 0.7558 0.1696 1
O27 O 0.3468 0.1789 0.6687 1
O28 O 0.3682 0.8335 0.4898 1
O29 O 0.3689 0.1593 0.9889 1
O30 O 0.4198 0.4454 0.9421 1
O31 O 0.4216 0.6010 0.4409 1
O32 O 0.4555 0.9226 0.9889 1
O33 O 0.4562 0.1568 0.4901 1
O34 O 0.4573 0.5855 0.1652 1
O35 O 0.4597 0.4358 0.3295 1
O36 O 0.4605 0.6445 0.8306 1
O37 O 0.4702 0.5036 0.6597 1
O38 O 0.4845 0.6718 0.5548 1
O39 O 0.4851 0.4367 0.0558 1
O40 O 0.5010 0.1777 0.1630 1
O41 O 0.5048 0.9562 0.6692 1
O42 O 0.5193 0.1431 0.8789 1
O43 O 0.5351 0.0074 0.3855 1
O44 O 0.5493 0.9791 0.2727 1
O45 O 0.5632 0.2019 0.7666 1
O46 O 0.6200 0.4472 0.5490 1
O47 O 0.6203 0.7914 0.0455 1
O48 O 0.6704 0.4286 0.4325 1
O49 O 0.6718 0.8694 0.9307 1
O50 O 0.6768 0.4374 0.8349 1
O51 O 0.6861 0.8694 0.3358 1
O52 O 0.6965 0.5051 0.1611 1
O53 O 0.7012 0.8235 0.6595 1
O54 O 0.7469 0.0811 0.5969 1
O55 O 0.7548 0.3159 0.0938 1
O56 O 0.7804 0.1148 0.0020 1
O57 O 0.7832 0.2915 0.5016 1
O58 O 0.7891 0.8155 0.1560 1
O59 O 0.7897 0.5928 0.6588 1
O60 O 0.7976 0.2509 0.8320 1
O61 O 0.7996 0.1731 0.3288 1
O62 O 0.8208 0.3303 0.2124 1
O63 O 0.8251 0.1164 0.7141 1
O64 O 0.8410 0.8349 0.8329 1
O65 O 0.8452 0.6292 0.3327 1
O66 O 0.8449 0.8013 0.5485 1
O67 O 0.8471 0.6680 0.0478 1
O68 O 0.8700 0.6195 0.9312 1
O69 O 0.8713 0.8632 0.4307 1
O70 O 0.9553 0.1111 0.2151 1
O71 O 0.9567 0.4672 0.7152 1
O72 O 0.9985 0.5385 0.5984 1


# PBE NaLaNb3SiP5O24, optimized geometry
# Formation energy from the elements ... -2.985 eV/atom
# Electronic total energy ... -7.880 eV/atom
# Total magnetic moment ... 0.0 μB/cell
data_NaLaNb3SiP5O24
_space_group_name_H-M_alt 'P 1'
_space_group_IT_number 1
_cell_length_a 8.9417
_cell_length_b 8.9470
_cell_length_c 23.3131
_cell_angle_alpha 90.15
_cell_angle_beta 90.08
_cell_angle_gamma 119.98
loop_
_space_group_symop_operation_xyz
'x,y,z'
loop_
_atom_site_label
_atom_site_type_symbol
_atom_site_fract_x
_atom_site_fract_y
_atom_site_fract_z
_atom_site_occupancy
Na1 Na 0.0000 0.0000 0.0000 1
Na2 Na 0.0009 0.9963 0.5018 1
Na3 Na 0.3315 0.6679 0.6614 1
La1 La 0.3300 0.6705 0.5182 1
La2 La 0.9970 0.0000 0.6441 1
La3 La 0.9969 0.9985 0.1446 1
Nb1 Nb 0.3277 0.6665 0.3169 1
Nb2 Nb 0.3308 0.6633 0.8177 1
Nb3 Nb 0.3345 0.6635 0.0228 1
Nb4 Nb 0.6653 0.3343 0.6899 1
Nb5 Nb 0.6652 0.3347 0.4729 1
Nb6 Nb 0.6659 0.3335 0.9703 1
Nb7 Nb 0.6658 0.3344 0.1862 1
Nb8 Nb 0.9957 0.0002 0.8523 1
Nb9 Nb 0.9981 0.9984 0.3450 1
Si1 Si 0.0352 0.6753 0.4161 1
Si2 Si 0.0503 0.3767 0.9179 1
Si3 Si 0.6231 0.6758 0.9186 1
P1 P 0.0020 0.3031 0.2476 1
P2 P 0.0023 0.7047 0.7513 1
P3 P 0.2950 0.2995 0.7515 1
P4 P 0.2992 0.9976 0.2480 1
P5 P 0.3224 0.9468 0.9180 1
P6 P 0.3244 0.3641 0.4137 1
P7 P 0.3917 0.0595 0.5821 1
P8 P 0.3931 0.3444 0.0776 1
P9 P 0.6360 0.9640 0.4140 1
P10 P 0.6508 0.0498 0.0774 1
P11 P 0.6628 0.6059 0.5819 1
P12 P 0.6936 0.7007 0.2477 1
P13 P 0.6970 0.9975 0.7517 1
P14 P 0.9381 0.3336 0.5819 1
P15 P 0.9484 0.6047 0.0773 1
O1 O 0.0011 0.8317 0.3947 1
O2 O 0.0327 0.1880 0.9048 1
O3 O 0.0482 0.8090 0.6968 1
O4 O 0.0492 0.2469 0.1931 1
O5 O 0.1117 0.4977 0.5890 1
O6 O 0.1269 0.6163 0.0720 1
O7 O 0.1395 0.5008 0.8628 1
O8 O 0.1443 0.6456 0.3642 1
O9 O 0.1443 0.7341 0.4736 1
O10 O 0.1500 0.4828 0.2668 1
O11 O 0.1542 0.6747 0.7661 1
O12 O 0.1634 0.9692 0.9063 1
O13 O 0.1736 0.1841 0.3949 1
O14 O 0.1756 0.4699 0.9735 1
O15 O 0.1896 0.2436 0.6970 1
O16 O 0.1929 0.9454 0.1940 1
O17 O 0.1970 0.1737 0.8020 1
O18 O 0.2023 0.0339 0.2970 1
O19 O 0.2124 0.1886 0.0777 1
O20 O 0.2177 0.0502 0.5765 1
O21 O 0.2729 0.4155 0.4685 1
O22 O 0.2882 0.8321 0.9710 1
O23 O 0.3275 0.4840 0.7659 1
O24 O 0.3351 0.8535 0.2680 1
O25 O 0.3555 0.8652 0.8648 1
O26 O 0.3573 0.4940 0.3646 1
O27 O 0.3844 0.5151 0.0730 1
O28 O 0.3844 0.8870 0.5902 1
O29 O 0.4744 0.3152 0.7431 1
O30 O 0.4767 0.1644 0.2370 1
O31 O 0.4812 0.1293 0.9263 1
O32 O 0.4806 0.8728 0.0724 1
O33 O 0.4834 0.1670 0.6385 1
O34 O 0.4858 0.3448 0.4219 1
O35 O 0.4881 0.3337 0.0247 1
O36 O 0.4944 0.3568 0.1340 1
O37 O 0.4964 0.1498 0.5271 1
O38 O 0.4986 0.6148 0.5892 1
O39 O 0.5002 0.6473 0.8634 1
O40 O 0.5067 0.8630 0.3649 1
O41 O 0.5143 0.8500 0.7673 1
O42 O 0.5159 0.6658 0.2683 1
O43 O 0.5340 0.7129 0.9743 1
O44 O 0.5890 0.8607 0.4686 1
O45 O 0.6416 0.1416 0.1338 1
O46 O 0.6437 0.5061 0.9272 1
O47 O 0.6460 0.1405 0.4223 1
O48 O 0.6471 0.4990 0.5265 1
O49 O 0.6613 0.1566 0.0246 1
O50 O 0.6788 0.5153 0.6381 1
O51 O 0.6847 0.5235 0.2367 1
O52 O 0.6879 0.1645 0.7432 1
O53 O 0.7484 0.8053 0.1936 1
O54 O 0.7532 0.9462 0.6977 1
O55 O 0.8086 0.0278 0.0775 1
O56 O 0.8148 0.8424 0.9051 1
O57 O 0.8183 0.0010 0.3947 1
O58 O 0.8263 0.0259 0.8025 1
O59 O 0.8277 0.7789 0.5756 1
O60 O 0.8287 0.7985 0.2964 1
O61 O 0.8328 0.3192 0.6383 1
O62 O 0.8373 0.3190 0.2367 1
O63 O 0.8372 0.5260 0.7430 1
O64 O 0.8396 0.5068 0.0243 1
O65 O 0.8452 0.3469 0.5267 1
O66 O 0.8455 0.5014 0.4243 1
O67 O 0.8562 0.3469 0.9270 1
O68 O 0.8576 0.5034 0.1333 1
O69 O 0.9464 0.1686 0.5756 1
O70 O 0.9653 0.1723 0.2966 1
O71 O 0.9667 0.7829 0.0769 1
O72 O 0.9739 0.8036 0.8021 1